Model P:
# Li32Mn5Cr11O48 | Materials Project | PBE with a Hubbard U | optimized geometry
data_Li32Mn5Cr11O48
_chemical_formula_sum 'Li64 Mn10 Cr22 O96'
_cell_length_a 5.0402
_cell_length_b 8.6882
_cell_length_c 38.4805
_cell_angle_alpha 90.00
_cell_angle_beta 92.10
_cell_angle_gamma 90.00
_space_group_name_H-M_alt 'C 1 2 1'
_space_group_IT_number 5
_space_group_name_Hall 'C 2y'
loop_
_atom_site_label
_atom_site_type_symbol
_atom_site_fract_x
_atom_site_fract_y
_atom_site_fract_z
Li1 Li 0.0000 0.0000 0.0000
Li2 Li 0.0000 0.5013 0.5000
Li3 Li 0.0586 0.3389 0.1875
Li4 Li 0.0602 0.8395 0.6875
Li5 Li 0.0620 0.4987 0.6877
Li6 Li 0.0619 0.9966 0.1875
Li7 Li 0.0662 0.1595 0.6878
Li8 Li 0.0665 0.6624 0.1876
Li9 Li 0.1241 0.4977 0.8750
Li10 Li 0.1252 0.9995 0.3750
Li11 Li 0.1844 0.6591 0.5623
Li12 Li 0.1861 0.4973 0.0626
Li13 Li 0.1870 0.1623 0.0625
Li14 Li 0.1876 0.3376 0.5624
Li15 Li 0.1895 0.0019 0.5623
Li16 Li 0.1899 0.8386 0.0626
Li17 Li 0.2489 0.0006 0.7501
Mn1 Mn 0.0000 0.1673 0.5000
Mn2 Mn 0.1252 0.8317 0.8751
Mn3 Mn 0.2497 0.3327 0.7500
Cr1 Cr 0.0000 0.3338 0.0000
Cr2 Cr 0.0000 0.6656 0.0000
Cr3 Cr 0.0000 0.8351 0.5000
Cr4 Cr 0.1234 0.1639 0.8751
Cr5 Cr 0.1252 0.3285 0.3750
Cr6 Cr 0.1251 0.6702 0.3750
Cr7 Cr 0.2485 0.6697 0.7500
O1 O 0.0069 0.4992 0.5965
O2 O 0.0073 0.9988 0.0964
O3 O 0.0371 0.1812 0.5967
O4 O 0.0371 0.8171 0.5966
O5 O 0.0486 0.3226 0.0967
O6 O 0.0492 0.6799 0.0971
O7 O 0.0786 0.3181 0.2779
O8 O 0.0787 0.8197 0.7779
O9 O 0.0840 0.6787 0.2781
O10 O 0.0851 0.1791 0.7782
O11 O 0.1168 0.9986 0.2785
O12 O 0.1198 0.5001 0.7784
O13 O 0.1334 0.0008 0.4715
O14 O 0.1339 0.4998 0.9712
O15 O 0.1736 0.6765 0.4719
O16 O 0.1750 0.3191 0.4722
O17 O 0.1773 0.1777 0.9719
O18 O 0.1773 0.8215 0.9720
O19 O 0.1997 0.1801 0.1529
O20 O 0.2018 0.8221 0.1530
O21 O 0.2125 0.3175 0.6533
O22 O 0.2126 0.6817 0.6534
O23 O 0.2410 0.4975 0.1536
O24 O 0.2435 0.9995 0.6535
# - Total magnetic moment: 74.009 μB per cell

Model Q:
# Li32Mn5Cr11O48 | Materials Project | PBE with a Hubbard U | optimized geometry
data_Li32Mn5Cr11O48
_chemical_formula_sum 'Li64 Mn10 Cr22 O96'
_cell_length_a 5.0415
_cell_length_b 8.6732
_cell_length_c 38.4301
_cell_angle_alpha 90.00
_cell_angle_beta 91.97
_cell_angle_gamma 90.00
_space_group_name_H-M_alt 'C 1 2 1'
_space_group_IT_number 5
_space_group_name_Hall 'C 2y'
loop_
_atom_site_label
_atom_site_type_symbol
_atom_site_fract_x
_atom_site_fract_y
_atom_site_fract_z
Li1 Li 0.0000 0.9996 0.0000
Li2 Li 0.0000 0.5000 0.5000
Li3 Li 0.0570 0.3392 0.1873
Li4 Li 0.0596 0.8386 0.6873
Li5 Li 0.0618 0.4995 0.6874
Li6 Li 0.0630 0.9996 0.1874
Li7 Li 0.0654 0.1610 0.6876
Li8 Li 0.0680 0.6609 0.1875
Li9 Li 0.1257 0.9976 0.3750
Li10 Li 0.1266 0.4974 0.8751
Li11 Li 0.1829 0.1595 0.0624
Li12 Li 0.1844 0.6595 0.5624
Li13 Li 0.1881 0.0023 0.5625
Li14 Li 0.1883 0.4994 0.0625
Li15 Li 0.1894 0.3384 0.5626
Li16 Li 0.1912 0.8408 0.0626
Li17 Li 0.2490 0.4994 0.2500
Mn1 Mn 0.0000 0.1666 0.5000
Mn2 Mn 0.1251 0.6676 0.3749
Mn3 Mn 0.1257 0.1670 0.8751
Cr1 Cr 0.0000 0.3291 0.0000
Cr2 Cr 0.0000 0.6707 0.0000
Cr3 Cr 0.0000 0.8327 0.5000
Cr4 Cr 0.1251 0.3296 0.3750
Cr5 Cr 0.1270 0.8294 0.8750
Cr6 Cr 0.2443 0.8336 0.2498
Cr7 Cr 0.2446 0.6650 0.7499
O1 O 0.0081 0.4998 0.5968
O2 O 0.0086 0.0010 0.0963
O3 O 0.0387 0.8198 0.5966
O4 O 0.0409 0.3204 0.0967
O5 O 0.0439 0.1799 0.5972
O6 O 0.0463 0.6819 0.0970
O7 O 0.0694 0.6754 0.2783
O8 O 0.0701 0.8238 0.7783
O9 O 0.0782 0.1787 0.7778
O10 O 0.0795 0.3217 0.2777
O11 O 0.1158 0.5049 0.7790
O12 O 0.1173 0.9941 0.2788
O13 O 0.1327 0.4999 0.9715
O14 O 0.1346 0.0001 0.4713
O15 O 0.1627 0.1815 0.9717
O16 O 0.1627 0.8181 0.9716
O17 O 0.1706 0.3213 0.4719
O18 O 0.1721 0.6771 0.4719
O19 O 0.2033 0.1793 0.1528
O20 O 0.2062 0.6798 0.6530
O21 O 0.2101 0.8203 0.1533
O22 O 0.2111 0.3198 0.6536
O23 O 0.2414 0.9996 0.6534
O24 O 0.2450 0.4992 0.1533
# - Total magnetic moment: 74.005 μB per cell

Which structure is the least stable? The one labeled model P.